# 1
First-principles (PBE) data for Al2CoCl8 after structural relaxation, as listed in Materials Project.

Properties
* uncorrected energy: -3.927 eV per atom
* energy with MP2020 corrections: -192.417 eV/cell

Cell lengths 13.973, 8.029, 11.659 Å; angles 90.00, 93.33, 90.00 degrees
Space group C2/c (No. 15)
Inequivalent atoms, fractional coordinates:
1 Al 0.081 0.242 0.055
2 Co 0.000 0.002 0.250
3 Cl 0.063 0.223 0.382
4 Cl 0.077 0.223 0.868
5 Cl 0.143 0.019 0.138
6 Cl 0.153 0.463 0.102

# 2
First-principles (PBE) data for Al2CoCl8 after structural relaxation, as listed in Materials Project.

Properties
* uncorrected energy: -3.929 eV per atom
* energy with MP2020 corrections: -192.544 eV/cell

Cell lengths 18.063, 8.189, 11.640 Å; angles 90.00, 127.03, 90.00 degrees
Space group C2/c (No. 15)
Inequivalent atoms, fractional coordinates:
1 Al 0.081 0.238 0.027
2 Co 0.000 0.005 0.750
3 Cl 0.058 0.222 0.676
4 Cl 0.077 0.215 0.211
5 Cl 0.139 0.017 0.002
6 Cl 0.152 0.454 0.052

# 3
First-principles (PBE) data for Cs3AlCl6 after structural relaxation, as listed in Materials Project.

Properties
* uncorrected energy: -3.556 eV per atom
* energy with MP2020 corrections: -156.974 eV/cell

Cell lengths 11.248, 11.248, 11.248 Å; angles 90.00, 90.00, 90.00 degrees
Space group Fm-3m (No. 225)
Inequivalent atoms, fractional coordinates:
1 Cs 0.000 0.000 0.000
2 Cs 0.250 0.250 0.250
3 Al 0.000 0.000 0.500
4 Cl 0.000 0.000 0.291

# 4
First-principles (PBE) data for CsAlCl4 after structural relaxation, as listed in Materials Project.

Properties
* uncorrected energy: -3.813 eV per atom
* energy with MP2020 corrections: -101.333 eV/cell

Cell lengths 11.947, 7.312, 9.678 Å; angles 90.00, 90.00, 90.00 degrees
Space group Pnma (No. 62)
Inequivalent atoms, fractional coordinates:
1 Cs 0.180 0.250 0.165
2 Al 0.072 0.250 0.694
3 Cl 0.085 0.011 0.826
4 Cl 0.088 0.750 0.408
5 Cl 0.210 0.250 0.551

# 5
First-principles (PBE) data for Cs2AlCuCl6 after structural relaxation, as listed in Materials Project.

Properties
* uncorrected energy: -3.512 eV per atom
* energy with MP2020 corrections: -155.214 eV/cell

Cell lengths 10.106, 10.106, 10.106 Å; angles 90.00, 90.00, 90.00 degrees
Space group Fm-3m (No. 225)
Inequivalent atoms, fractional coordinates:
1 Cs 0.250 0.250 0.250
2 Al 0.000 0.000 0.000
3 Cu 0.000 0.000 0.500
4 Cl 0.000 0.000 0.237

# 6
First-principles (PBE) data for Cs2KAlCl6 after structural relaxation, as listed in Materials Project.

Properties
* uncorrected energy: -3.605 eV per atom
* energy with MP2020 corrections: -158.918 eV/cell

Cell lengths 10.807, 10.807, 10.807 Å; angles 90.00, 90.00, 90.00 degrees
Space group Fm-3m (No. 225)
Inequivalent atoms, fractional coordinates:
1 Cs 0.250 0.250 0.250
2 K 0.000 0.000 0.000
3 Al 0.000 0.000 0.500
4 Cl 0.000 0.000 0.282